# 1
La3Sn13Rh4 after structural relaxation. Source: Materials Project, functional PBE-GGA.

Cell and atoms, written as extended XYZ:
```
160
Lattice="-9.8743 9.8743 9.8743 9.8743 -9.8743 9.8743 9.8743 9.8743 -9.8743" Properties=species:S:1:pos:R:3 pbc="T T T"
La 9.8764 7.4057 -4.9351
La 4.9351 0.0021 2.4686
La 9.8627 -2.4686 4.9487
La 14.8230 0.0116 2.4686
La 2.4686 4.9351 0.0021
La 7.4057 4.9351 -0.0021
La 12.3429 4.9392 -0.0021
La 7.4057 -4.9351 9.8764
La 4.9487 9.8627 -2.4686
La 9.8627 2.4686 4.9256
La 0.0021 2.4686 4.9351
La 4.9351 -0.0021 7.4057
La 4.9256 9.8627 2.4686
La 9.8859 7.4057 4.9256
La -0.0021 7.4057 4.9351
La 4.9392 -0.0021 12.3429
La 2.4686 4.9256 9.8627
La -2.4686 4.9487 9.8627
La 7.4057 4.9256 9.8859
La 2.4686 14.8230 0.0116
La -4.9351 9.8764 7.4057
La -0.0021 12.3429 4.9392
La 4.9256 9.8859 7.4057
La 0.0116 2.4686 14.8230
Sn 4.9546 4.9197 -4.9197
Sn 9.8568 0.0175 -0.0175
Sn 0.0175 0.0175 0.0175
Sn 4.9197 -4.9197 4.9546
Sn 12.7071 1.4639 0.0004
Sn 7.7699 -4.9376 6.4010
Sn 16.9158 1.4639 -0.0004
Sn 11.9786 -4.9367 6.4010
Sn 7.9645 4.9322 -3.4228
Sn 6.8469 1.5144 -0.0049
Sn 3.0273 1.5144 0.0049
Sn 4.9420 3.4228 -1.9098
Sn 9.8694 3.0273 -1.5144
Sn 11.7841 4.9420 -3.4228
Sn 14.8091 3.3804 -1.8049
Sn 9.8766 -6.7421 8.3175
Sn 6.4010 7.7699 -4.9376
Sn 8.4104 -0.0004 2.8328
Sn 1.5144 0.0049 3.0273
Sn 3.4228 -1.9098 4.9420
Sn 11.4019 -0.0040 3.0441
Sn 13.2838 -1.8930 4.9332
Sn 8.3175 9.8766 -6.7421
Sn 6.4939 -1.8049 4.9395
Sn 0.0049 3.0273 1.5144
Sn 4.9322 -3.4228 7.9645
Sn 4.9395 6.4939 -1.8049
Sn 9.8720 3.1322 1.5568
Sn 14.8137 3.3804 1.8049
Sn 9.8720 -3.1322 8.3175
Sn 4.9322 3.4228 1.9098
Sn 9.8792 6.8469 -1.5144
Sn 8.3175 9.8720 -3.1322
Sn 6.4939 1.8049 4.9348
Sn 1.5144 -0.0049 6.8469
Sn 3.4228 1.9098 4.9322
Sn 11.4019 0.0040 6.8302
Sn 13.2838 1.8930 4.9411
Sn 6.4010 11.9786 -4.9367
Sn 8.4104 0.0004 7.0415
Sn 4.9348 6.4939 1.8049
Sn 9.8766 6.7421 1.5568
Sn -0.0049 6.8469 1.5144
Sn 1.9098 4.9322 3.4228
Sn 3.0273 -1.5144 9.8694
Sn 4.9420 -3.4228 11.7841
Sn -1.9098 4.9420 3.4228
Sn 6.8469 -1.5144 9.8792
Sn 2.8328 8.4104 -0.0004
Sn 7.0415 8.4104 0.0004
Sn 7.7699 4.9376 3.4732
Sn 11.9786 4.9367 3.4732
Sn 4.9197 4.9197 4.9197
Sn 0.0175 -0.0175 9.8568
Sn -4.9197 4.9546 4.9197
Sn -0.0175 9.8568 0.0175
Sn -0.0004 2.8328 8.4104
Sn 4.9376 3.4732 7.7699
Sn 3.0441 11.4019 -0.0040
Sn 4.9332 13.2838 -1.8930
Sn 9.8782 3.0441 8.3467
Sn 11.7673 4.9332 6.4648
Sn 6.8302 11.4019 0.0040
Sn 7.9813 4.9411 6.4648
Sn -1.8049 4.9395 6.4939
Sn 1.8049 4.9348 6.4939
Sn 3.1322 1.5568 9.8720
Sn 6.7421 1.5568 9.8766
Sn 3.4732 7.7699 4.9376
Sn 1.4639 0.0004 12.7071
Sn -3.4228 7.9645 4.9322
Sn -1.5144 9.8694 3.0273
Sn 8.3467 9.8782 3.0441
Sn 6.4648 7.9813 4.9411
Sn 1.5568 9.8720 3.1322
Sn 3.3804 -1.8049 14.8091
Sn 0.0004 12.7071 1.4639
Sn -4.9376 6.4010 7.7699
Sn -0.0040 3.0441 11.4019
Sn 4.9411 6.4648 7.9813
Sn 4.9411 13.2838 1.8930
Sn 9.8703 6.8302 8.3467
Sn 0.0004 7.0415 8.4104
Sn 4.9367 3.4732 11.9786
Sn 1.5568 9.8766 6.7421
Sn 3.3804 1.8049 14.8137
Sn 6.4648 11.7673 4.9332
Sn 8.3467 9.8703 6.8302
Sn -3.4228 11.7841 4.9420
Sn -1.5144 9.8792 6.8469
Sn 3.4732 11.9786 4.9367
Sn 1.4639 -0.0004 16.9158
Sn -1.8049 14.8091 3.3804
Sn -6.7421 8.3175 9.8766
Sn 1.8049 14.8137 3.3804
Sn -3.1322 8.3175 9.8720
Sn -1.8930 4.9332 13.2838
Sn 6.8302 8.3467 9.8703
Sn 0.0040 6.8302 11.4019
Sn 3.0441 8.3467 9.8782
Sn 1.8930 4.9411 13.2838
Sn 4.9332 6.4648 11.7673
Sn -0.0004 16.9158 1.4639
Sn -4.9367 6.4010 11.9786
Rh 2.4720 2.4686 -2.4652
Rh 7.4008 7.4057 12.3380
Rh 2.4686 -2.4652 2.4720
Rh 7.4057 2.4686 -2.4686
Rh -2.4637 7.4008 12.3429
Rh 12.3395 2.4720 -2.4686
Rh 7.4057 12.3380 7.4008
Rh 12.3429 -2.4686 2.4686
Rh -2.4652 2.4720 2.4686
Rh 12.3429 -2.4637 7.4008
Rh 2.4686 2.4686 2.4686
Rh 7.4091 7.4023 -2.4686
Rh 2.4686 -2.4686 7.4057
Rh 7.4023 2.4686 2.4652
Rh 7.4023 -2.4686 7.4091
Rh 12.3429 2.4637 2.4735
Rh -2.4686 7.4057 2.4686
Rh 2.4686 12.3429 -2.4686
Rh 7.4008 12.3429 -2.4637
Rh 2.4652 7.4023 2.4686
Rh 2.4686 2.4652 7.4023
Rh 7.4057 7.4106 2.4735
Rh 2.4720 -2.4686 12.3395
Rh 7.4106 2.4735 7.4057
Rh 12.3380 7.4008 7.4057
Rh -2.4686 12.3395 2.4720
Rh -2.4686 7.4091 7.4023
Rh 2.4735 12.3429 2.4637
Rh -2.4686 2.4686 12.3429
Rh 2.4735 7.4057 7.4106
Rh 2.4637 2.4735 12.3429
Rh 7.4057 7.4057 7.4057
```

Summary:
The formation energy comes out at -611 meV per atom. The calculation puts the calculated volume at 3851.0 Å³/cell. The calculated total energy is -5.431 eV per atom.

***

# 2
LaSn4Rh2 after structural relaxation. Source: Materials Project, functional PBE-GGA.

Cell and atoms, written as extended XYZ:
```
28
Lattice="18.7225 0.0000 0.0000 0.0000 4.5928 0.0000 0.0000 0.0000 7.2173" Properties=species:S:1:pos:R:3 pbc="T T T"
La 2.6568 1.1482 0.0115
La 6.7045 3.4446 3.6201
La 12.0181 1.1482 3.5972
La 16.0657 3.4446 7.2059
Sn 0.5792 3.4446 6.2190
Sn 1.2784 1.1482 3.4966
Sn 3.4089 3.4446 2.1978
Sn 3.6384 3.4446 5.2024
Sn 5.7229 1.1482 1.5938
Sn 5.9523 1.1482 5.8065
Sn 8.0828 3.4446 7.1053
Sn 8.7821 1.1482 2.6104
Sn 9.9404 3.4446 4.6070
Sn 10.6397 1.1482 0.1120
Sn 12.7702 3.4446 1.4109
Sn 12.9996 3.4446 5.6236
Sn 15.0841 1.1482 2.0149
Sn 15.3136 1.1482 5.0195
Sn 17.4441 3.4446 3.7207
Sn 18.1433 1.1482 0.9983
Rh 0.6498 3.4446 1.7999
Rh 3.9978 1.1482 3.7398
Rh 5.3634 3.4446 0.1311
Rh 8.7115 1.1482 5.4085
Rh 10.0110 3.4446 1.8088
Rh 13.3591 1.1482 7.0862
Rh 14.7247 3.4446 3.4775
Rh 18.0728 1.1482 5.4175
```

Summary:
The formation energy comes out at -659 meV per atom. The calculation puts the calculated volume at 620.6 Å³/cell. The calculated total energy is -5.759 eV per atom.

***

# 3
LaZnRh after structural relaxation. Source: Materials Project, functional PBE-GGA.

Cell and atoms, written as extended XYZ:
```
24
Lattice="7.4375 0.0000 0.0000 0.0000 4.0838 0.0000 0.0000 0.0000 16.6397" Properties=species:S:1:pos:R:3 pbc="T T T"
La 0.3450 1.0210 3.6179
La 1.2627 1.0210 7.3244
La 2.4560 3.0629 15.6442
La 3.3737 3.0629 11.9378
La 4.0638 1.0210 4.7020
La 4.9815 1.0210 0.9955
La 6.1748 3.0629 9.3153
La 7.0925 3.0629 13.0218
Zn 0.0150 3.0629 0.9982
Zn 0.9608 1.0210 10.7990
Zn 2.7579 3.0629 2.4791
Zn 3.7037 1.0210 9.3181
Zn 3.7338 3.0629 7.3216
Zn 4.6796 1.0210 14.1606
Zn 6.4767 3.0629 5.8408
Zn 7.4225 1.0210 15.6415
Rh 1.7873 1.0210 1.0887
Rh 1.8481 1.0210 13.5583
Rh 1.8707 3.0629 5.2385
Rh 1.9315 3.0629 9.4086
Rh 5.5060 1.0210 7.2311
Rh 5.5668 1.0210 11.4013
Rh 5.5895 3.0629 3.0814
Rh 5.6502 3.0629 15.5510
```

Summary:
The formation energy comes out at -685 meV per atom. The calculation puts the calculated volume at 505.4 Å³/cell. The calculated total energy is -5.205 eV per atom.

***

Please write out number 3 again, unchanged.
LaZnRh after structural relaxation. Source: Materials Project, functional PBE-GGA.

Cell and atoms, written as extended XYZ:
```
24
Lattice="7.4375 0.0000 0.0000 0.0000 4.0838 0.0000 0.0000 0.0000 16.6397" Properties=species:S:1:pos:R:3 pbc="T T T"
La 0.3450 1.0210 3.6179
La 1.2627 1.0210 7.3244
La 2.4560 3.0629 15.6442
La 3.3737 3.0629 11.9378
La 4.0638 1.0210 4.7020
La 4.9815 1.0210 0.9955
La 6.1748 3.0629 9.3153
La 7.0925 3.0629 13.0218
Zn 0.0150 3.0629 0.9982
Zn 0.9608 1.0210 10.7990
Zn 2.7579 3.0629 2.4791
Zn 3.7037 1.0210 9.3181
Zn 3.7338 3.0629 7.3216
Zn 4.6796 1.0210 14.1606
Zn 6.4767 3.0629 5.8408
Zn 7.4225 1.0210 15.6415
Rh 1.7873 1.0210 1.0887
Rh 1.8481 1.0210 13.5583
Rh 1.8707 3.0629 5.2385
Rh 1.9315 3.0629 9.4086
Rh 5.5060 1.0210 7.2311
Rh 5.5668 1.0210 11.4013
Rh 5.5895 3.0629 3.0814
Rh 5.6502 3.0629 15.5510
```

Summary:
The formation energy comes out at -685 meV per atom. The calculation puts the calculated volume at 505.4 Å³/cell. The calculated total energy is -5.205 eV per atom.

***

Which value of calculated total energy does entry 1 give? -5.431 eV per atom